Entry 1:
A relaxed Er6Al43Cr4 crystal, computed with r²SCAN.

Cell lengths 10.8210, 10.8210, 17.4925 Å; angles 90.00, 90.00, 120.00 degrees
Fractional coordinates of all 106 atoms:
Er: 0.0000 0.4684 0.0956
Er: 0.0000 0.4684 0.4044
Er: 0.0000 0.5316 0.5956
Er: 0.0000 0.5316 0.9044
Er: 0.4684 0.0000 0.0956
Er: 0.4684 0.0000 0.4044
Er: 0.4684 0.4684 0.5956
Er: 0.4684 0.4684 0.9044
Er: 0.5316 0.0000 0.5956
Er: 0.5316 0.0000 0.9044
Er: 0.5316 0.5316 0.0956
Er: 0.5316 0.5316 0.4044
Al: 0.0000 0.1445 0.7500
Al: 0.0000 0.1540 0.1170
Al: 0.0000 0.1540 0.3830
Al: 0.0000 0.2499 0.5300
Al: 0.0000 0.2499 0.9700
Al: 0.0000 0.7501 0.0300
Al: 0.0000 0.7501 0.4700
Al: 0.0000 0.8460 0.6170
Al: 0.0000 0.8460 0.8830
Al: 0.0000 0.8555 0.2500
Al: 0.1445 0.0000 0.7500
Al: 0.1445 0.1445 0.2500
Al: 0.1483 0.5496 0.2500
Al: 0.1483 0.5987 0.7500
Al: 0.1540 0.0000 0.1170
Al: 0.1540 0.0000 0.3830
Al: 0.1540 0.1540 0.6170
Al: 0.1540 0.1540 0.8830
Al: 0.1574 0.3910 0.6651
Al: 0.1574 0.3910 0.8349
Al: 0.1574 0.7664 0.1651
Al: 0.1574 0.7664 0.3349
Al: 0.2336 0.3910 0.1651
Al: 0.2336 0.3910 0.3349
Al: 0.2336 0.8426 0.6651
Al: 0.2336 0.8426 0.8349
Al: 0.2471 0.4941 0.0000
Al: 0.2471 0.4941 0.5000
Al: 0.2471 0.7529 0.0000
Al: 0.2471 0.7529 0.5000
Al: 0.2499 0.0000 0.5300
Al: 0.2499 0.0000 0.9700
Al: 0.2499 0.2499 0.0300
Al: 0.2499 0.2499 0.4700
Al: 0.3333 0.6667 0.1266
Al: 0.3333 0.6667 0.3734
Al: 0.3333 0.6667 0.6266
Al: 0.3333 0.6667 0.8734
Al: 0.3910 0.1574 0.6651
Al: 0.3910 0.1574 0.8349
Al: 0.3910 0.2336 0.1651
Al: 0.3910 0.2336 0.3349
Al: 0.4013 0.5496 0.7500
Al: 0.4013 0.8517 0.2500
Al: 0.4504 0.5987 0.2500
Al: 0.4504 0.8517 0.7500
Al: 0.4941 0.2471 0.0000
Al: 0.4941 0.2471 0.5000
Al: 0.5059 0.7529 0.0000
Al: 0.5059 0.7529 0.5000
Al: 0.5496 0.1483 0.2500
Al: 0.5496 0.4013 0.7500
Al: 0.5987 0.1483 0.7500
Al: 0.5987 0.4504 0.2500
Al: 0.6090 0.7664 0.6651
Al: 0.6090 0.7664 0.8349
Al: 0.6090 0.8426 0.1651
Al: 0.6090 0.8426 0.3349
Al: 0.6667 0.3333 0.1266
Al: 0.6667 0.3333 0.3734
Al: 0.6667 0.3333 0.6266
Al: 0.6667 0.3333 0.8734
Al: 0.7501 0.0000 0.0300
Al: 0.7501 0.0000 0.4700
Al: 0.7501 0.7501 0.5300
Al: 0.7501 0.7501 0.9700
Al: 0.7529 0.2471 0.0000
Al: 0.7529 0.2471 0.5000
Al: 0.7529 0.5059 0.0000
Al: 0.7529 0.5059 0.5000
Al: 0.7664 0.1574 0.1651
Al: 0.7664 0.1574 0.3349
Al: 0.7664 0.6090 0.6651
Al: 0.7664 0.6090 0.8349
Al: 0.8426 0.2336 0.6651
Al: 0.8426 0.2336 0.8349
Al: 0.8426 0.6090 0.1651
Al: 0.8426 0.6090 0.3349
Al: 0.8460 0.0000 0.6170
Al: 0.8460 0.0000 0.8830
Al: 0.8460 0.8460 0.1170
Al: 0.8460 0.8460 0.3830
Al: 0.8517 0.4013 0.2500
Al: 0.8517 0.4504 0.7500
Al: 0.8555 0.0000 0.2500
Al: 0.8555 0.8555 0.7500
Cr: 0.0000 0.0000 0.0000
Cr: 0.0000 0.0000 0.5000
Cr: 0.0000 0.2706 0.2500
Cr: 0.0000 0.7294 0.7500
Cr: 0.2706 0.0000 0.2500
Cr: 0.2706 0.2706 0.7500
Cr: 0.7294 0.0000 0.7500
Cr: 0.7294 0.7294 0.2500

Values from the calculation:
The energy relative to the elements comes out at -0.278 eV/atom.

---

Entry 2:
A relaxed Li3Pb crystal, computed with r²SCAN.

Cell lengths 4.7006, 4.7006, 4.7006 Å; angles 120.41, 120.41, 89.29 degrees
Fractional coordinates of all 4 atoms:
Li: 0.0000 0.0000 0.0000
Li: 0.2500 0.7500 0.5000
Li: 0.7500 0.2500 0.5000
Pb: 0.5000 0.5000 0.0000

Values from the calculation:
The energy relative to the elements comes out at -0.401 eV/atom.

---

Entry 3:
A relaxed CaAl8Ni2 crystal, computed with r²SCAN.

Cell lengths 12.4562, 14.4142, 3.9419 Å; angles 90.00, 90.00, 90.00 degrees
Fractional coordinates of all 44 atoms:
Ca: 0.1585 0.1820 0.0000
Ca: 0.3415 0.6820 0.0000
Ca: 0.6585 0.3180 0.0000
Ca: 0.8415 0.8180 0.0000
Al: 0.0000 0.0000 0.0000
Al: 0.0000 0.5000 0.5000
Al: 0.0256 0.8675 0.5000
Al: 0.0466 0.3204 0.5000
Al: 0.0989 0.7463 0.0000
Al: 0.1589 0.4550 0.0000
Al: 0.1618 0.6190 0.5000
Al: 0.1668 0.0102 0.5000
Al: 0.2384 0.8273 0.5000
Al: 0.2616 0.3273 0.5000
Al: 0.3332 0.5102 0.5000
Al: 0.3382 0.1190 0.5000
Al: 0.3411 0.9550 0.0000
Al: 0.4011 0.2463 0.0000
Al: 0.4534 0.8204 0.5000
Al: 0.4744 0.3675 0.5000
Al: 0.5000 0.0000 0.5000
Al: 0.5000 0.5000 0.0000
Al: 0.5256 0.6325 0.5000
Al: 0.5466 0.1796 0.5000
Al: 0.5989 0.7537 0.0000
Al: 0.6589 0.0450 0.0000
Al: 0.6618 0.8810 0.5000
Al: 0.6668 0.4898 0.5000
Al: 0.7384 0.6727 0.5000
Al: 0.7616 0.1727 0.5000
Al: 0.8332 0.9898 0.5000
Al: 0.8382 0.3810 0.5000
Al: 0.8411 0.5450 0.0000
Al: 0.9011 0.2537 0.0000
Al: 0.9534 0.6796 0.5000
Al: 0.9744 0.1325 0.5000
Ni: 0.0361 0.5940 0.0000
Ni: 0.1537 0.9038 0.0000
Ni: 0.3463 0.4038 0.0000
Ni: 0.4639 0.0940 0.0000
Ni: 0.5361 0.9060 0.0000
Ni: 0.6537 0.5962 0.0000
Ni: 0.8463 0.0962 0.0000
Ni: 0.9639 0.4060 0.0000

Values from the calculation:
The energy relative to the elements comes out at -0.409 eV/atom.

---

Entry 4:
A relaxed Tb2InNi2 crystal, computed with r²SCAN.

Cell lengths 7.3563, 7.3563, 3.7048 Å; angles 90.00, 90.00, 149.58 degrees
Fractional coordinates of all 5 atoms:
Tb: 0.1373 0.8627 0.0000
Tb: 0.8627 0.1373 0.0000
In: 0.5000 0.5000 0.5000
Ni: 0.2996 0.7004 0.5000
Ni: 0.7004 0.2996 0.5000

Values from the calculation:
The energy relative to the elements comes out at -0.562 eV/atom.

---

Entry 5:
A relaxed CrCuPPb2O9 crystal, computed with r²SCAN.

Cell lengths 9.5248, 5.7257, 16.5541 Å; angles 90.00, 123.98, 90.00 degrees
Fractional coordinates of all 56 atoms:
Cr: 0.1869 0.2498 0.3691
Cr: 0.1869 0.2502 0.8691
Cr: 0.8131 0.7498 0.1309
Cr: 0.8131 0.7502 0.6309
Cu: 0.0000 0.0000 0.0000
Cu: 0.0000 0.0000 0.5000
Cu: 0.0000 0.5000 0.0000
Cu: 0.0000 0.5000 0.5000
P: 0.3273 0.2495 0.1572
P: 0.3273 0.2505 0.6572
P: 0.6727 0.7495 0.3428
P: 0.6727 0.7505 0.8428
Pb: 0.2528 0.7470 0.2698
Pb: 0.2528 0.7530 0.7698
Pb: 0.3760 0.7495 0.0496
Pb: 0.3760 0.7505 0.5496
Pb: 0.6240 0.2495 0.4504
Pb: 0.6240 0.2505 0.9504
Pb: 0.7472 0.2470 0.2302
Pb: 0.7472 0.2530 0.7302
O: 0.0545 0.2478 0.7519
O: 0.0545 0.2522 0.2519
O: 0.0732 0.7500 0.4664
O: 0.0732 0.7500 0.9664
O: 0.0782 0.2493 0.4183
O: 0.0782 0.2507 0.9183
O: 0.2159 0.0238 0.1160
O: 0.2161 0.0247 0.6157
O: 0.2161 0.4753 0.1157
O: 0.2159 0.4762 0.6160
O: 0.3100 0.0112 0.4028
O: 0.3100 0.4888 0.9028
O: 0.3115 0.0129 0.9039
O: 0.3115 0.4871 0.4039
O: 0.4154 0.2504 0.2663
O: 0.4154 0.2496 0.7663
O: 0.4468 0.2488 0.1227
O: 0.4468 0.2512 0.6227
O: 0.5532 0.7488 0.3773
O: 0.5532 0.7512 0.8773
O: 0.5846 0.7504 0.2337
O: 0.5846 0.7496 0.7337
O: 0.6885 0.5129 0.5961
O: 0.6885 0.9871 0.0961
O: 0.6901 0.5112 0.0972
O: 0.6901 0.9888 0.5972
O: 0.7841 0.5238 0.3840
O: 0.7839 0.5247 0.8843
O: 0.7839 0.9753 0.3843
O: 0.7841 0.9762 0.8840
O: 0.9218 0.7493 0.0817
O: 0.9218 0.7507 0.5817
O: 0.9268 0.2500 0.0336
O: 0.9268 0.2500 0.5336
O: 0.9455 0.7478 0.7481
O: 0.9455 0.7522 0.2481

Values from the calculation:
The energy relative to the elements comes out at -1.700 eV/atom.

---

Entry 6:
A relaxed ThGaPt crystal, computed with r²SCAN.

Cell lengths 7.3356, 7.3356, 4.1037 Å; angles 90.00, 90.00, 120.00 degrees
Fractional coordinates of all 9 atoms:
Th: 0.0000 0.5850 0.0000
Th: 0.4150 0.4150 0.0000
Th: 0.5850 0.0000 0.0000
Ga: 0.0000 0.2394 0.5000
Ga: 0.2394 0.0000 0.5000
Ga: 0.7606 0.7606 0.5000
Pt: 0.0000 0.0000 0.0000
Pt: 0.3333 0.6667 0.5000
Pt: 0.6667 0.3333 0.5000

Values from the calculation:
The energy relative to the elements comes out at -1.150 eV/atom.

---

Entry 7:
A relaxed MgNi3C crystal, computed with r²SCAN.

Cell lengths 3.7836, 3.7836, 3.7836 Å; angles 90.00, 90.00, 90.00 degrees
Fractional coordinates of all 5 atoms:
Mg: 0.0000 0.0000 0.0000
Ni: 0.0000 0.5000 0.5000
Ni: 0.5000 0.0000 0.5000
Ni: 0.5000 0.5000 0.0000
C: 0.5000 0.5000 0.5000

Values from the calculation:
The energy relative to the elements comes out at -0.103 eV/atom.

---

Entry 8:
A relaxed Li2Y5In9 crystal, computed with r²SCAN.

Cell lengths 10.1645, 10.1645, 15.1863 Å; angles 90.00, 90.00, 90.00 degrees
Fractional coordinates of all 64 atoms:
Li: 0.2500 0.7500 0.0917
Li: 0.2500 0.7500 0.4002
Li: 0.2500 0.7500 0.5998
Li: 0.2500 0.7500 0.9083
Li: 0.7500 0.2500 0.0917
Li: 0.7500 0.2500 0.4002
Li: 0.7500 0.2500 0.5998
Li: 0.7500 0.2500 0.9083
Y: 0.0317 0.0317 0.1268
Y: 0.0317 0.4683 0.1268
Y: 0.0343 0.0343 0.6272
Y: 0.0343 0.4657 0.6272
Y: 0.2500 0.2500 0.3311
Y: 0.2500 0.2500 0.8031
Y: 0.4657 0.0343 0.6272
Y: 0.4657 0.4657 0.6272
Y: 0.4683 0.0317 0.1268
Y: 0.4683 0.4683 0.1268
Y: 0.5317 0.5317 0.8732
Y: 0.5317 0.9683 0.8732
Y: 0.5343 0.5343 0.3728
Y: 0.5343 0.9657 0.3728
Y: 0.7500 0.7500 0.1969
Y: 0.7500 0.7500 0.6689
Y: 0.9657 0.5343 0.3728
Y: 0.9657 0.9657 0.3728
Y: 0.9683 0.5317 0.8732
Y: 0.9683 0.9683 0.8732
In: 0.0007 0.7500 0.5254
In: 0.0229 0.2500 0.9716
In: 0.0427 0.7500 0.7308
In: 0.0510 0.7500 0.2312
In: 0.2500 0.0229 0.9716
In: 0.2500 0.2500 0.1184
In: 0.2500 0.2500 0.5918
In: 0.2500 0.4771 0.9716
In: 0.2500 0.5007 0.4746
In: 0.2500 0.5427 0.2692
In: 0.2500 0.5510 0.7688
In: 0.2500 0.9490 0.7688
In: 0.2500 0.9573 0.2692
In: 0.2500 0.9993 0.4746
In: 0.4490 0.7500 0.2312
In: 0.4573 0.7500 0.7308
In: 0.4771 0.2500 0.9716
In: 0.4993 0.7500 0.5254
In: 0.5007 0.2500 0.4746
In: 0.5229 0.7500 0.0284
In: 0.5427 0.2500 0.2692
In: 0.5510 0.2500 0.7688
In: 0.7500 0.0007 0.5254
In: 0.7500 0.0427 0.7308
In: 0.7500 0.0510 0.2312
In: 0.7500 0.4490 0.2312
In: 0.7500 0.4573 0.7308
In: 0.7500 0.4993 0.5254
In: 0.7500 0.5229 0.0284
In: 0.7500 0.7500 0.4082
In: 0.7500 0.7500 0.8816
In: 0.7500 0.9771 0.0284
In: 0.9490 0.2500 0.7688
In: 0.9573 0.2500 0.2692
In: 0.9771 0.7500 0.0284
In: 0.9993 0.2500 0.4746

Values from the calculation:
The energy relative to the elements comes out at -0.587 eV/atom.

---

Entry 9:
A relaxed Ba2LaCl7 crystal, computed with r²SCAN.

Cell lengths 6.9479, 15.8963, 10.7367 Å; angles 90.00, 90.89, 90.00 degrees
Fractional coordinates of all 40 atoms:
Ba: 0.2338 0.0622 0.3253
Ba: 0.2338 0.4378 0.8253
Ba: 0.2356 0.7226 0.4473
Ba: 0.2356 0.7774 0.9473
Ba: 0.7644 0.2226 0.0527
Ba: 0.7644 0.2774 0.5527
Ba: 0.7662 0.5622 0.1747
Ba: 0.7662 0.9378 0.6747
La: 0.2796 0.1260 0.7854
La: 0.2796 0.3740 0.2854
La: 0.7204 0.6260 0.7146
La: 0.7204 0.8740 0.2146
Cl: 0.0038 0.2404 0.3075
Cl: 0.0038 0.2596 0.8075
Cl: 0.0051 0.1033 0.5808
Cl: 0.0051 0.3967 0.0808
Cl: 0.2007 0.5465 0.2886
Cl: 0.2007 0.9535 0.7886
Cl: 0.2140 0.1458 0.0426
Cl: 0.2140 0.3542 0.5426
Cl: 0.3507 0.5713 0.6229
Cl: 0.3507 0.9287 0.1229
Cl: 0.4951 0.6025 0.9320
Cl: 0.4951 0.7246 0.2007
Cl: 0.4951 0.7754 0.7007
Cl: 0.4951 0.8975 0.4320
Cl: 0.5049 0.1025 0.5680
Cl: 0.5049 0.2246 0.2993
Cl: 0.5049 0.2754 0.7993
Cl: 0.5049 0.3975 0.0680
Cl: 0.6493 0.0713 0.8771
Cl: 0.6493 0.4287 0.3771
Cl: 0.7860 0.6458 0.4574
Cl: 0.7860 0.8542 0.9574
Cl: 0.7993 0.0465 0.2114
Cl: 0.7993 0.4535 0.7114
Cl: 0.9949 0.6033 0.9192
Cl: 0.9949 0.8967 0.4192
Cl: 0.9962 0.7404 0.1925
Cl: 0.9962 0.7596 0.6925

Values from the calculation:
The energy relative to the elements comes out at -2.763 eV/atom.

---

Entry 10:
A relaxed NbReSi crystal, computed with r²SCAN.

Cell lengths 7.5506, 7.5506, 7.5506 Å; angles 124.87, 79.82, 127.24 degrees
Fractional coordinates of all 18 atoms:
Nb: 0.0030 0.2500 0.2530
Nb: 0.1653 0.1283 0.5370
Nb: 0.1859 0.6321 0.0538
Nb: 0.5783 0.1321 0.9462
Nb: 0.5913 0.6283 0.4630
Nb: 0.9970 0.7500 0.7470
Re: 0.3374 0.3374 0.0000
Re: 0.3374 0.8374 0.5000
Re: 0.5875 0.1802 0.3400
Re: 0.5875 0.7475 0.9072
Re: 0.8403 0.2475 0.6600
Re: 0.8403 0.6802 0.0928
Si: 0.2531 0.0817 0.1644
Si: 0.2531 0.5888 0.6714
Si: 0.5745 0.3495 0.7250
Si: 0.6245 0.8495 0.2750
Si: 0.9174 0.0888 0.8356
Si: 0.9174 0.5817 0.3286

Values from the calculation:
The energy relative to the elements comes out at -0.561 eV/atom.

---

Please write out number 6 again, unchanged.
A relaxed ThGaPt crystal, computed with r²SCAN.

Cell lengths 7.3356, 7.3356, 4.1037 Å; angles 90.00, 90.00, 120.00 degrees
Fractional coordinates of all 9 atoms:
Th: 0.0000 0.5850 0.0000
Th: 0.4150 0.4150 0.0000
Th: 0.5850 0.0000 0.0000
Ga: 0.0000 0.2394 0.5000
Ga: 0.2394 0.0000 0.5000
Ga: 0.7606 0.7606 0.5000
Pt: 0.0000 0.0000 0.0000
Pt: 0.3333 0.6667 0.5000
Pt: 0.6667 0.3333 0.5000

Values from the calculation:
The energy relative to the elements comes out at -1.150 eV/atom.

---

Which value of energy relative to the elements does entry 7 give? -0.103 eV/atom